(1)
Here is a relaxed structure of CaHC2O4 from the Materials Project database. Energies are from GGA-PBE.

Calculated values
The energy relative to the elements is -1678 meV/atom. The total DFT energy (no corrections) comes out at -6.7909 eV/atom. The calculation puts the MP2020-corrected energy at -0.262 hartree per atom. The density is 1.909 g/cm3.

Cell: 6.333 14.817 9.882 Å, 90.00 104.37 90.00°
Space group P2_1/c (No. 14)
Inequivalent atoms, fractional coordinates:
Ca1 0.012 0.125 0.069 x4
Ca2 0.028 0.624 0.072 x4
H1 0.403 0.147 0.607 x4
H2 0.407 0.600 0.606 x4
C1 0.004 0.572 0.751 x4
C2 0.013 0.678 0.752 x4
C3 0.453 0.124 0.319 x4
C4 0.472 0.625 0.321 x4
O1 0.003 0.716 0.865 x4
O2 0.014 0.034 0.638 x4
O3 0.014 0.534 0.638 x4
O4 0.030 0.716 0.640 x4
O5 0.248 0.127 0.306 x4
O6 0.266 0.624 0.307 x4
O7 0.384 0.125 0.066 x4
O8 0.402 0.622 0.068 x4

(2)
Here is a relaxed structure of Na6Be8O11 from the Materials Project database. Energies are from GGA-PBE.

Calculated values
The energy relative to the elements is -2552 meV/atom. The total DFT energy (no corrections) comes out at -5.9405 eV/atom. The calculation puts the MP2020-corrected energy at -0.229 hartree per atom. The density is 2.402 g/cm3.

Cell: 5.293 6.436 8.375 Å, 102.58 95.54 103.97°
Space group P-1 (No. 2)
Inequivalent atoms, fractional coordinates:
Na1 0.034 0.258 0.069 x2
Na2 0.206 0.775 0.296 x2
Na3 0.223 0.387 0.499 x2
Be1 0.175 0.978 0.648 x2
Be2 0.449 0.432 0.864 x2
Be3 0.474 0.741 0.753 x2
Be4 0.480 0.138 0.950 x2
O1 0.000 0.000 0.500 x1
O2 0.239 0.754 0.635 x2
O3 0.267 0.172 0.808 x2
O4 0.330 0.608 0.987 x2
O5 0.361 0.046 0.108 x2
O6 0.421 0.469 0.278 x2

(3)
Here is a relaxed structure of Dy3NiGe2 from the Materials Project database. Energies are from GGA-PBE.

Calculated values
The energy relative to the elements is -790 meV/atom. The total DFT energy (no corrections) comes out at -5.5978 eV/atom. The density is 8.526 g/cm3.

Cell: 11.391 4.175 11.326 Å, 90.00 90.00 90.00°
Space group Pnma (No. 62)
Inequivalent atoms, fractional coordinates:
Dy1 0.058 0.250 0.127 x4
Dy2 0.118 0.750 0.558 x4
Dy3 0.217 0.250 0.804 x4
Ni1 0.131 0.250 0.367 x4
Ge1 0.020 0.750 0.312 x4
Ge2 0.193 0.750 0.997 x4

(4)
Here is a relaxed structure of NaHo3 from the Materials Project database. Energies are from GGA-PBE.

Calculated values
The energy relative to the elements is 314 meV/atom. Its energy above the most stable polymorph in this dataset is 0 meV/atom. The total DFT energy (no corrections) comes out at -3.4531 eV/atom. The density is 6.875 g/cm3.

Cell: 4.847 4.847 10.647 Å, 90.00 90.00 90.00°
Space group I4/mmm (No. 139)
Inequivalent atoms, fractional coordinates:
Na1 0.000 0.000 0.000 x2
Ho1 0.000 0.000 0.500 x2
Ho2 0.000 0.500 0.250 x4